Entry 1:
Below is a geometry-optimized TaAl3P2S4O24 structure, with properties calculated at the PBE level. Values from VASP.

Results
Theoretical density = 3.1 g cm⁻³
Corrected total energy (MP2020 scheme) = -7.519 eV/atom
Energy = -717.4 eV/cell
Energy of formation from the pure elements = -2.542 eV/atom
Magnetic moment = 0.000 μB/f.u.

The structure in Quantum ESPRESSO input format:
```
&SYSTEM
  ibrav = 0, nat = 102, ntyp = 5
/
ATOMIC_SPECIES
O 16.00 O.upf
Al 26.98 Al.upf
S 32.06 S.upf
P 30.97 P.upf
Ta 180.95 Ta.upf
CELL_PARAMETERS angstrom
-8.194 1.790 -0.586
2.692 -7.841 -1.466
-2.487 -4.942 21.146
ATOMIC_POSITIONS angstrom
O -5.406 -5.969 12.386
O -1.792 -3.640 0.688
O -3.003 -2.787 12.375
O -3.119 -6.809 15.107
O -0.676 -7.556 8.887
Al -0.975 -4.719 -0.780
O 0.263 -9.885 13.421
S -4.424 -2.575 12.040
O -5.981 -4.756 19.107
O -4.653 -3.066 10.657
O -5.401 -0.134 0.009
S -3.584 -8.469 7.102
O -0.929 -11.802 17.605
O -2.009 -5.922 18.895
Al -7.051 -9.223 11.569
O 1.046 -8.530 7.313
O -2.595 -4.670 14.266
O -4.862 -4.088 3.884
O -4.920 -9.390 19.275
O -5.718 -9.578 12.725
O -1.879 -7.932 17.377
O -6.715 -4.499 7.843
O -2.557 -8.162 19.844
S -8.034 -7.520 14.184
O -6.554 -2.077 4.129
Al -9.049 0.021 6.950
O -6.189 -7.390 18.482
O -5.596 -5.574 9.983
S -2.945 -0.802 5.065
S -5.230 -6.555 11.035
O -7.751 -4.489 12.426
O -4.885 -5.200 14.906
P -7.975 -1.573 4.286
O -6.654 -9.603 17.477
O -1.982 -6.217 0.066
O -6.966 0.851 1.467
O -6.063 -5.059 0.248
O -3.349 -7.927 8.448
O -5.933 -2.047 8.466
S -2.772 -4.403 8.146
S -6.398 -3.630 0.337
O -5.507 -2.923 -0.644
O -8.237 -1.045 5.690
P -1.750 -7.388 18.819
P -7.802 -2.504 15.354
O -2.357 -1.418 6.251
Al -10.262 -2.481 17.523
O -0.257 -6.521 6.649
O -9.013 -2.521 11.698
O -2.619 -4.992 6.737
P -2.331 -11.364 17.836
O 0.393 -5.170 0.598
O -3.256 -4.923 16.620
O -7.377 -3.442 10.255
O -6.132 -3.103 1.693
Al -6.288 -4.774 13.656
O -8.425 -5.851 18.562
O -1.224 -6.482 11.329
O -3.988 -1.673 4.534
O -2.801 -10.404 16.705
O -3.030 -1.682 -0.053
O -3.156 -5.769 4.106
O -1.882 -3.248 8.247
Ta -1.626 -6.128 5.418
O -0.213 -2.415 3.769
O -7.206 -6.326 14.358
P 0.449 -7.269 7.906
O 0.727 -8.242 2.584
O -0.912 -7.334 3.999
O -5.300 -3.280 13.003
S -4.608 -5.527 3.787
O -6.113 -7.723 10.848
O -3.812 -6.950 10.891
O -1.385 -1.433 1.618
O -1.286 -8.877 14.852
O -4.543 -8.312 16.980
O -2.711 -7.744 6.092
Al -5.085 -2.346 3.100
O -4.804 -6.019 2.419
O -4.176 -4.010 8.234
O -0.721 -4.637 4.682
P -5.568 -8.767 18.056
S -2.391 -2.378 1.116
S -3.465 -5.343 15.237
O -4.984 -8.221 6.747
O -2.393 -5.410 9.138
Al -5.798 -3.824 9.278
O -2.590 -10.816 19.225
O -5.434 -6.221 4.779
Al -2.182 -7.264 9.890
Ta -2.974 -8.651 15.886
S -8.384 -3.788 11.288
O -2.070 -8.978 10.670
O -7.764 -8.462 15.261
O -3.425 -2.668 2.132
S -5.553 0.467 1.378
O -7.078 -3.774 14.943
O -8.774 -2.774 16.489
Al -0.357 -0.763 3.062
Ta -6.992 -6.225 19.716
O -5.183 -0.543 2.389
O -3.994 -9.368 14.451
```

***

Entry 2:
Below is a geometry-optimized TiAlPS2O12 structure, with properties calculated at the PBE level. Values from VASP.

Results
Theoretical density = 2.7 g cm⁻³
Corrected total energy (MP2020 scheme) = -7.541 eV/atom
Energy = -719.7 eV/cell
Energy of formation from the pure elements = -2.559 eV/atom
Magnetic moment = 0.000 μB/f.u.

The structure in Quantum ESPRESSO input format:
```
&SYSTEM
  ibrav = 0, nat = 102, ntyp = 5
/
ATOMIC_SPECIES
P 30.97 P.upf
O 16.00 O.upf
S 32.06 S.upf
Al 26.98 Al.upf
Ti 47.87 Ti.upf
CELL_PARAMETERS angstrom
8.442 0.000 0.000
-4.221 7.315 0.006
0.000 0.019 21.882
ATOMIC_POSITIONS angstrom
P 5.342 5.227 16.444
O 4.802 0.933 3.036
O 5.760 2.212 11.538
O -0.588 6.401 18.877
P -1.171 2.730 20.093
O -1.549 5.105 16.615
O 3.267 6.114 4.250
O 0.666 3.443 16.588
O 1.524 4.709 12.572
O 5.740 2.625 20.300
O 3.617 3.954 11.580
O 2.702 2.615 9.359
O 3.671 3.837 5.268
O 3.591 5.864 12.946
S 5.379 0.311 1.836
O 1.587 0.196 12.937
O -2.615 7.089 4.289
Al -0.019 4.790 11.414
O 1.602 0.281 6.671
O -3.267 6.124 15.191
O 6.840 0.291 17.612
O -2.686 7.123 19.884
O -1.595 5.166 10.328
O 1.600 4.670 18.867
O 3.640 0.942 13.977
O -0.548 3.425 21.295
O -1.524 4.700 1.631
O 2.691 2.685 3.067
O 0.918 1.229 2.058
O 0.953 6.147 16.616
O 5.271 3.683 3.031
Ti -0.124 4.828 17.718
O 2.682 2.203 0.597
O 2.615 7.099 15.230
O 4.825 3.945 0.639
P 1.171 2.720 9.152
P 1.801 2.490 1.849
Al 4.207 7.316 18.712
S 6.003 0.044 16.428
O 2.686 7.113 8.943
O -0.666 3.433 5.647
O 2.713 2.231 16.187
O 0.922 3.700 1.609
S 1.253 6.950 9.141
O -0.953 6.138 5.675
O -0.598 1.527 4.274
S 1.275 2.092 16.416
O -0.568 6.316 12.557
O 4.771 3.847 16.210
O 3.677 5.892 6.738
O 0.567 1.369 8.850
O 3.216 1.178 11.572
O 1.549 5.095 5.674
S 5.480 4.516 1.837
O 4.851 5.855 2.005
O 5.169 3.730 9.301
S 7.167 2.083 5.475
O 0.588 6.391 7.935
O 4.765 5.901 17.679
O 3.274 3.740 20.242
O 0.568 6.306 1.616
Al 4.141 2.492 4.130
O -0.567 1.379 19.792
S -2.416 4.940 9.123
O 5.226 1.168 0.631
O 5.140 1.211 16.218
O 0.598 1.536 15.215
O 4.842 0.978 9.289
O 1.595 5.175 21.269
O -0.984 3.657 18.836
S -1.253 6.960 20.082
O 7.524 1.239 12.999
Ti 4.210 7.314 3.130
O 3.302 1.202 5.277
O -1.600 4.661 7.926
O 1.039 1.276 17.611
O 7.403 1.266 6.670
S 3.064 0.321 12.777
Al 0.019 4.781 0.473
S 2.416 4.949 20.064
O -3.280 6.103 8.941
O 5.751 2.695 14.009
O 3.600 0.988 20.230
Al -4.207 7.307 7.771
Ti 4.256 2.435 10.422
S 2.439 0.034 5.487
P 3.100 5.217 5.503
Al 4.302 2.501 15.071
O 3.171 3.693 13.972
O 0.548 3.416 10.354
O 3.280 6.113 19.882
Ti -4.210 7.323 14.071
O 0.984 3.647 7.895
O 5.729 2.222 5.246
S 2.962 4.526 12.778
O -1.003 6.145 21.283
P 6.641 2.500 12.790
Ti 4.187 2.445 21.363
O 6.856 0.186 1.996
O -0.922 3.710 12.550
Ti 0.124 4.819 6.777
O 1.003 6.135 10.342
```

***

Entry 3:
Below is a geometry-optimized ZrAlPS2O12 structure, with properties calculated at the PBE level. Values from VASP.

Results
Theoretical density = 2.8 g cm⁻³
Corrected total energy (MP2020 scheme) = -7.650 eV/atom
Energy = -730.8 eV/cell
Energy of formation from the pure elements = -2.629 eV/atom
Magnetic moment = 0.000 μB/f.u.

The structure in Quantum ESPRESSO input format:
```
&SYSTEM
  ibrav = 0, nat = 102, ntyp = 5
/
ATOMIC_SPECIES
O 16.00 O.upf
Al 26.98 Al.upf
Zr 91.22 Zr.upf
P 30.97 P.upf
S 32.06 S.upf
CELL_PARAMETERS angstrom
8.682 0.000 0.000
-4.341 7.518 -0.029
0.000 -0.086 22.290
ATOMIC_POSITIONS angstrom
O -0.879 3.433 5.733
O -1.041 3.866 12.785
O 4.801 5.998 17.972
Al 0.041 4.853 0.455
O 0.728 1.479 15.520
Zr 4.353 2.459 10.538
O 1.089 6.203 10.477
O -0.980 6.448 5.758
O 0.451 3.407 10.513
O 7.529 1.232 6.760
O 1.153 1.189 17.905
O 2.733 2.356 0.634
P 3.303 5.319 5.602
O 1.637 0.343 6.780
S 1.433 2.007 16.713
O 4.743 3.909 16.521
O -2.823 7.101 20.219
O 5.341 1.263 16.520
O -1.497 4.706 1.632
O -0.436 1.313 20.135
O 2.604 2.525 9.515
P 1.076 2.703 9.302
O -3.298 6.340 9.088
S 7.250 2.050 5.568
O 2.657 7.323 15.505
S 3.272 0.217 13.015
O 1.041 3.909 1.641
Al 4.352 7.465 7.883
O 3.830 0.872 14.207
O 3.360 3.914 20.588
O -0.937 3.575 19.196
S -2.464 5.146 9.284
O -2.657 7.366 4.360
O 5.135 0.875 9.454
S 5.411 0.260 1.871
P 6.796 2.624 13.034
S 1.375 7.019 9.296
Al -0.041 4.810 11.599
O 3.530 5.884 13.157
S 5.744 4.564 1.862
O 0.451 6.472 1.597
Al 4.456 2.526 15.362
Zr 0.015 -0.044 14.255
Al 4.226 2.570 4.217
S 2.464 5.103 20.429
O 5.487 3.731 3.048
O 2.802 2.834 3.113
O 5.084 4.008 0.657
O 0.937 3.618 8.052
O 6.895 0.082 2.024
O 5.152 5.928 2.012
O 7.720 1.388 13.228
S 2.490 0.124 5.598
O 3.403 1.081 11.814
O -0.728 1.522 4.375
O 5.812 2.139 5.315
O 3.882 6.041 6.827
O 1.759 5.151 5.758
O -3.470 6.156 15.494
S -1.375 6.976 20.441
O 1.657 4.829 19.223
O 0.436 1.356 8.990
Zr 0.089 4.930 6.811
Zr 4.329 2.416 21.682
O 5.322 3.957 9.443
P -1.076 2.660 20.447
O 3.195 3.688 14.192
O 4.852 0.915 3.062
O 1.788 0.039 13.169
O 6.078 2.482 20.660
O 2.870 2.096 16.460
O 7.045 0.300 17.925
O 2.823 7.144 9.074
O -0.451 6.429 12.742
O 3.342 1.306 5.376
O 1.615 5.283 21.620
O 0.708 6.479 8.085
O 0.963 1.431 2.083
O -0.451 3.364 21.657
O 0.879 3.389 16.878
O 5.279 1.124 0.670
O -1.615 5.326 10.475
S 2.939 4.521 13.007
O 3.470 6.200 4.349
O -1.759 5.108 16.903
O 0.980 6.405 16.903
O -1.089 6.160 21.622
P 1.887 2.667 1.889
S 6.192 0.081 16.743
O 3.939 3.952 5.376
O 5.949 2.313 11.778
Al 4.331 7.422 19.028
Zr 8.668 -0.001 3.110
O 5.880 2.791 14.257
P 5.379 5.276 16.747
O -0.708 6.436 19.230
O 3.598 3.965 11.802
O 1.497 4.663 12.776
O 3.548 0.831 20.599
Zr -0.089 4.887 17.956
O -1.657 4.872 8.078
O 3.298 6.297 20.233
```